(1)
A plane-wave DFT calculation with PBE with a Hubbard U was carried out for a relaxed Li4MnCo2O7 crystal.

abc: 7.779 7.779 13.146
angles: 61.49 61.49 21.42
Element x y z (fractional)
Li 0.642 0.642 0.777
Li 0.934 0.934 0.357
Li 0.218 0.218 0.931
Li 0.077 0.077 0.637
Li 0.352 0.352 0.223
Li 0.501 0.501 0.489
Li 0.782 0.782 0.083
Li 0.141 0.141 0.289
Mn 0.001 0.001 0.001
Mn 0.572 0.572 0.154
Co 0.285 0.285 0.568
Co 0.856 0.856 0.712
Co 0.428 0.428 0.855
Co 0.713 0.713 0.413
O 0.596 0.596 0.979
O 0.886 0.886 0.536
O 0.168 0.168 0.111
O 0.029 0.029 0.822
O 0.307 0.307 0.401
O 0.450 0.450 0.687
O 0.751 0.751 0.259
O 0.687 0.687 0.604
O 0.976 0.976 0.178
O 0.262 0.262 0.742
O 0.116 0.116 0.463
O 0.403 0.403 0.031
O 0.539 0.539 0.307
O 0.828 0.828 0.892

Summary:
ΔE to the lowest computed polymorph in kJ/mol of atoms: 5.3
Energy of formation in eV/atom: -1.829
Space-group type: Cm (8)
Crystal system: monoclinic
Theoretical density in g/cm3: 4.087
Total magnetization in μB per cell: 8.00

(2)
A plane-wave DFT calculation with PBE with a Hubbard U was carried out for a relaxed Li7Mn2Co3O12 crystal.

abc: 6.560 6.560 5.085
angles: 82.74 82.74 83.68
Element x y z (fractional)
Li 0.586 0.916 0.742
Li 0.244 0.244 0.740
Li 0.916 0.586 0.742
Li 0.084 0.414 0.258
Li 0.756 0.756 0.260
Li 0.414 0.084 0.258
Li 0.000 0.000 0.500
Mn 0.837 0.163 0.000
Mn 0.163 0.837 0.000
Co 0.500 0.500 0.000
Co 0.327 0.673 0.500
Co 0.673 0.327 0.500
O 0.940 0.286 0.646
O 0.613 0.613 0.626
O 0.286 0.940 0.646
O 0.440 0.787 0.121
O 0.113 0.113 0.106
O 0.787 0.440 0.121
O 0.213 0.560 0.879
O 0.887 0.887 0.894
O 0.560 0.213 0.879
O 0.714 0.060 0.354
O 0.387 0.387 0.374
O 0.060 0.714 0.354

Summary:
ΔE to the lowest computed polymorph in kJ/mol of atoms: 1.5
Energy of formation in eV/atom: -1.918
Space-group type: C2/m (12)
Crystal system: monoclinic
Theoretical density in g/cm3: 4.085
Total magnetization in μB per cell: 6.00

(3)
A plane-wave DFT calculation with PBE with a Hubbard U was carried out for a relaxed Li7Mn2Co3O12 crystal.

abc: 5.041 5.165 8.734
angles: 73.65 85.43 79.59
Element x y z (fractional)
Li 0.257 0.419 0.087
Li 0.732 0.582 0.927
Li 0.260 0.748 0.751
Li 0.258 0.088 0.404
Li 0.740 0.246 0.251
Li 0.750 0.917 0.581
Li 0.500 0.834 0.165
Mn 0.003 0.993 0.003
Mn 0.000 0.333 0.667
Co 0.498 0.156 0.838
Co 0.500 0.509 0.492
Co 0.992 0.681 0.327
O 0.108 0.036 0.197
O 0.637 0.199 0.022
O 0.125 0.340 0.873
O 0.123 0.674 0.555
O 0.641 0.858 0.377
O 0.645 0.528 0.698
O 0.351 0.805 0.958
O 0.872 0.992 0.793
O 0.364 0.139 0.641
O 0.368 0.463 0.308
O 0.892 0.657 0.115
O 0.885 0.301 0.470

Summary:
ΔE to the lowest computed polymorph in kJ/mol of atoms: 4.2
Energy of formation in eV/atom: -1.890
Space-group type: P1 (1)
Crystal system: triclinic
Theoretical density in g/cm3: 4.081
Total magnetization in μB per cell: 8.00

(4)
A plane-wave DFT calculation with PBE with a Hubbard U was carried out for a relaxed Li4MnCo2O7 crystal.

abc: 2.950 5.959 14.344
angles: 82.99 84.36 88.06
Element x y z (fractional)
Li 0.934 0.211 0.635
Li 0.500 0.500 0.500
Li 0.066 0.789 0.365
Li 0.355 0.927 0.787
Li 0.788 0.642 0.928
Li 0.212 0.358 0.072
Li 0.645 0.073 0.213
Li 0.500 0.000 0.500
Mn 0.934 0.721 0.638
Mn 0.066 0.279 0.362
Co 0.644 0.568 0.213
Co 0.219 0.855 0.072
Co 0.781 0.145 0.928
Co 0.356 0.432 0.787
O 0.440 0.488 0.650
O 0.992 0.743 0.510
O 0.581 0.067 0.356
O 0.815 0.190 0.790
O 0.287 0.899 0.934
O 0.724 0.615 0.078
O 0.106 0.336 0.220
O 0.419 0.933 0.644
O 0.008 0.257 0.490
O 0.560 0.512 0.350
O 0.894 0.664 0.780
O 0.276 0.385 0.922
O 0.713 0.101 0.066
O 0.185 0.810 0.210

Summary:
ΔE to the lowest computed polymorph in kJ/mol of atoms: 6.6
Energy of formation in eV/atom: -1.815
Space-group type: P-1 (2)
Crystal system: triclinic
Theoretical density in g/cm3: 4.169
Total magnetization in μB per cell: 22.00

(5)
A plane-wave DFT calculation with PBE with a Hubbard U was carried out for a relaxed Li4MnCo2O7 crystal.

abc: 5.138 5.138 17.837
angles: 83.93 83.93 32.72
Element x y z (fractional)
Li 0.288 0.288 0.921
Li 0.862 0.862 0.790
Li 0.436 0.436 0.648
Li 0.996 0.996 0.506
Li 0.574 0.574 0.351
Li 0.142 0.142 0.212
Li 0.710 0.710 0.069
Li 0.567 0.567 0.858
Mn 0.997 0.997 0.994
Mn 0.285 0.285 0.429
Co 0.149 0.149 0.728
Co 0.712 0.712 0.577
Co 0.857 0.857 0.282
Co 0.429 0.429 0.141
O 0.371 0.371 0.033
O 0.931 0.931 0.902
O 0.517 0.517 0.747
O 0.079 0.079 0.604
O 0.660 0.660 0.461
O 0.222 0.222 0.329
O 0.794 0.794 0.176
O 0.217 0.217 0.817
O 0.772 0.772 0.679
O 0.346 0.346 0.530
O 0.912 0.912 0.396
O 0.494 0.494 0.248
O 0.057 0.057 0.103
O 0.623 0.623 0.969

Summary:
ΔE to the lowest computed polymorph in kJ/mol of atoms: 7.0
Energy of formation in eV/atom: -1.811
Space-group type: Cm (8)
Crystal system: monoclinic
Theoretical density in g/cm3: 4.103
Total magnetization in μB per cell: 7.08

(6)
A plane-wave DFT calculation with PBE with a Hubbard U was carried out for a relaxed Li7Mn4CoO12 crystal.

abc: 5.195 5.962 7.587
angles: 80.65 82.89 109.31
Element x y z (fractional)
Li 0.513 0.068 0.182
Li 0.512 0.758 0.488
Li 0.503 0.415 0.835
Li 0.488 0.575 0.178
Li 0.487 0.265 0.484
Li 0.497 0.919 0.832
Li 0.000 0.167 0.333
Mn 0.007 0.999 0.006
Mn 0.993 0.334 0.660
Mn 0.995 0.496 0.007
Mn 0.005 0.838 0.660
Co 0.000 0.667 0.333
O 0.217 0.305 0.067
O 0.234 0.939 0.426
O 0.211 0.624 0.754
O 0.235 0.764 0.092
O 0.215 0.467 0.424
O 0.238 0.102 0.754
O 0.785 0.866 0.242
O 0.765 0.570 0.574
O 0.762 0.231 0.913
O 0.766 0.394 0.241
O 0.783 0.029 0.600
O 0.789 0.709 0.913

Summary:
ΔE to the lowest computed polymorph in kJ/mol of atoms: 1.6
Energy of formation in eV/atom: -2.068
Space-group type: P-1 (2)
Crystal system: triclinic
Theoretical density in g/cm3: 4.014
Total magnetization in μB per cell: 13.99